Material: Cs2NpO4
Method: DFT, PBE
State: relaxed

## Properties
space-group type	I4/mmm
ΔE_f	-2.847	eV per atom

abc: 8.384 8.384 8.384
angles: 149.55 149.55 43.60
Atoms (fractional coordinates):
O 0.500 0.000 0.500
O 0.877 0.877 0.000
O 0.000 0.500 0.500
O 0.123 0.123 0.000
Cs 0.349 0.349 0.000
Cs 0.651 0.651 0.000
Np 0.000 0.000 0.000

=====

Material: Cs2NpS2O10
Method: DFT, PBE
State: relaxed

## Properties
space-group type	P2_1/c
ΔE_f	-2.484	eV per atom
spin magnetization	0.067	μB per atom

abc: 9.158 11.046 13.228
angles: 58.65 90.00 90.00
Atoms (fractional coordinates):
O 0.683 0.107 0.438
O 0.317 0.893 0.562
O 0.183 0.893 0.062
O 0.430 0.208 0.277
O 0.774 0.360 0.718
O 0.700 0.565 0.014
O 0.612 0.876 0.471
O 0.962 0.528 0.677
O 0.586 0.357 0.439
O 0.354 0.088 0.971
O 0.817 0.107 0.938
O 0.300 0.435 0.986
O 0.854 0.912 0.529
O 0.710 0.598 0.672
O 0.038 0.472 0.323
O 0.462 0.472 0.823
O 0.791 0.017 0.319
O 0.790 0.598 0.172
O 0.570 0.792 0.723
O 0.646 0.912 0.029
O 0.538 0.528 0.177
O 0.888 0.876 0.971
O 0.200 0.435 0.486
O 0.388 0.124 0.529
O 0.709 0.017 0.819
O 0.209 0.983 0.681
O 0.146 0.088 0.471
O 0.414 0.643 0.561
O 0.291 0.983 0.181
O 0.914 0.357 0.939
O 0.086 0.643 0.061
O 0.226 0.640 0.282
O 0.930 0.792 0.223
O 0.800 0.565 0.514
O 0.726 0.360 0.218
O 0.210 0.402 0.828
O 0.112 0.124 0.029
O 0.274 0.640 0.782
O 0.290 0.402 0.328
O 0.070 0.208 0.777
Cs 0.077 0.270 0.199
Cs 0.900 0.212 0.568
Cs 0.423 0.270 0.699
Cs 0.923 0.730 0.801
Cs 0.600 0.212 0.068
Cs 0.577 0.730 0.301
Cs 0.400 0.788 0.932
Cs 0.100 0.788 0.432
S 0.759 0.977 0.938
S 0.259 0.023 0.562
S 0.241 0.023 0.062
S 0.741 0.977 0.438
S 0.690 0.514 0.140
S 0.190 0.486 0.360
S 0.310 0.486 0.860
S 0.810 0.514 0.640
Np 0.008 0.717 0.143
Np 0.508 0.283 0.357
Np 0.492 0.717 0.643
Np 0.992 0.283 0.857